No. 1
This record from the Materials Project describes a relaxed structure of Lu3InC. The functional is GGA-PBE.

a b c (Å): 4.788 4.788 4.788
angles (deg): 90.00 90.00 90.00
Atoms (fractional coordinates):
1 Lu 0.000 0.000 0.500
2 Lu 0.000 0.500 0.000
3 Lu 0.500 0.000 0.000
4 In 0.500 0.500 0.500
5 C 0.000 0.000 0.000

Properties
The value obtained for the final energy is -28.42 eV per formula unit.

---

No. 2
This record from the Materials Project describes a relaxed structure of Mn3InC. The functional is GGA-PBE.

a b c (Å): 3.949 3.949 3.949
angles (deg): 90.00 90.00 90.00
Atoms (fractional coordinates):
1 Mn 0.000 0.000 0.500
2 Mn 0.000 0.500 0.000
3 Mn 0.500 0.000 0.000
4 In 0.500 0.500 0.500
5 C 0.000 0.000 0.000

Properties
For the energy above the most stable polymorph in this dataset, the calculation gives 0.0000 eV/atom. Its magnetic moment is 6.04 μB/f.u.

---

No. 3
This record from the Materials Project describes a relaxed structure of InC6N9. The functional is GGA-PBE.

a b c (Å): 7.358 7.358 11.328
angles (deg): 90.00 90.00 119.87
Atoms (fractional coordinates):
1 In 0.219 0.781 0.750
2 In 0.781 0.219 0.250
3 C 0.043 0.267 0.750
4 C 0.201 0.489 0.082
5 C 0.201 0.489 0.418
6 C 0.267 0.043 0.250
7 C 0.489 0.201 0.582
8 C 0.489 0.201 0.918
9 C 0.511 0.799 0.082
10 C 0.511 0.799 0.418
11 C 0.733 0.957 0.750
12 C 0.799 0.511 0.582
13 C 0.799 0.511 0.918
14 C 0.957 0.733 0.250
15 N 0.045 0.347 0.120
16 N 0.045 0.347 0.380
17 N 0.065 0.935 0.250
18 N 0.156 0.450 0.750
19 N 0.347 0.045 0.620
20 N 0.347 0.045 0.880
21 N 0.365 0.635 0.032
22 N 0.365 0.635 0.468
23 N 0.450 0.156 0.250
24 N 0.550 0.844 0.750
25 N 0.635 0.365 0.532
26 N 0.635 0.365 0.968
27 N 0.653 0.955 0.120
28 N 0.653 0.955 0.380
29 N 0.844 0.550 0.250
30 N 0.935 0.065 0.750
31 N 0.955 0.653 0.620
32 N 0.955 0.653 0.880

Properties
The value obtained for the final energy is -127.52 eV per formula unit. Its magnetic moment is 0.00 μB/f.u.

---

No. 4
This record from the Materials Project describes a relaxed structure of In11C2N10. The functional is GGA-PBE.

a b c (Å): 15.565 15.565 3.544
angles (deg): 90.00 90.00 90.00
Atoms (fractional coordinates):
1 In 0.000 0.000 0.000
2 In 0.032 0.197 0.500
3 In 0.032 0.633 0.000
4 In 0.133 0.468 0.500
5 In 0.197 0.032 0.500
6 In 0.221 0.221 0.000
7 In 0.279 0.721 0.500
8 In 0.303 0.532 0.000
9 In 0.367 0.968 0.000
10 In 0.468 0.133 0.500
11 In 0.468 0.697 0.000
12 In 0.500 0.500 0.500
13 In 0.532 0.303 0.000
14 In 0.532 0.867 0.500
15 In 0.633 0.032 0.000
16 In 0.697 0.468 0.000
17 In 0.721 0.279 0.500
18 In 0.779 0.779 0.000
19 In 0.803 0.968 0.500
20 In 0.867 0.532 0.500
21 In 0.968 0.367 0.000
22 In 0.968 0.803 0.500
23 C 0.161 0.839 0.000
24 C 0.339 0.339 0.500
25 C 0.661 0.661 0.500
26 C 0.839 0.161 0.000
27 N 0.063 0.063 0.500
28 N 0.104 0.606 0.500
29 N 0.106 0.396 0.000
30 N 0.106 0.894 0.000
31 N 0.218 0.782 0.000
32 N 0.282 0.282 0.500
33 N 0.394 0.394 0.500
34 N 0.394 0.896 0.500
35 N 0.396 0.106 0.000
36 N 0.437 0.563 0.000
37 N 0.563 0.437 0.000
38 N 0.604 0.894 0.000
39 N 0.606 0.104 0.500
40 N 0.606 0.606 0.500
41 N 0.718 0.718 0.500
42 N 0.782 0.218 0.000
43 N 0.894 0.106 0.000
44 N 0.894 0.604 0.000
45 N 0.896 0.394 0.500
46 N 0.937 0.937 0.500

Properties
The value obtained for the final energy is -122.47 eV per formula unit. Its magnetic moment is 1.00 μB/f.u.

---

No. 5
This record from the Materials Project describes a relaxed structure of InCN2. The functional is GGA-PBE.

a b c (Å): 3.778 3.778 9.842
angles (deg): 90.00 90.00 120.00
Atoms (fractional coordinates):
1 In 0.000 0.000 0.000
2 In 0.000 0.000 0.500
3 C 0.333 0.667 0.250
4 C 0.667 0.333 0.750
5 N 0.333 0.667 0.124
6 N 0.333 0.667 0.376
7 N 0.667 0.333 0.624
8 N 0.667 0.333 0.876

Properties
The value obtained for the final energy is -27.89 eV per formula unit. Its magnetic moment is 0.00 μB/f.u.

---

No. 6
This record from the Materials Project describes a relaxed structure of InCN2. The functional is GGA-PBE.

a b c (Å): 3.748 3.748 14.963
angles (deg): 90.00 90.00 120.00
Atoms (fractional coordinates):
1 In 0.000 0.000 0.000
2 In 0.333 0.667 0.667
3 In 0.667 0.333 0.333
4 C 0.000 0.000 0.500
5 C 0.333 0.667 0.167
6 C 0.667 0.333 0.833
7 N 0.000 0.000 0.417
8 N 0.000 0.000 0.583
9 N 0.333 0.667 0.083
10 N 0.333 0.667 0.250
11 N 0.667 0.333 0.750
12 N 0.667 0.333 0.917

Properties
The value obtained for the final energy is -27.71 eV per formula unit. Its magnetic moment is 0.00 μB/f.u.

---

No. 7
This record from the Materials Project describes a relaxed structure of InC8N6. The functional is GGA-PBE.

a b c (Å): 13.205 13.205 5.702
angles (deg): 90.03 90.03 120.21
Atoms (fractional coordinates):
1 In 0.000 0.000 0.000
2 In 0.335 0.670 0.536
3 In 0.670 0.335 0.536
4 C 0.001 0.670 0.612
5 C 0.001 0.754 0.456
6 C 0.002 0.287 0.981
7 C 0.003 0.369 0.139
8 C 0.108 0.465 0.216
9 C 0.108 0.682 0.683
10 C 0.247 0.247 0.456
11 C 0.287 0.002 0.981
12 C 0.322 0.427 0.681
13 C 0.331 0.331 0.611
14 C 0.362 0.900 0.219
15 C 0.369 0.003 0.139
16 C 0.427 0.322 0.681
17 C 0.465 0.108 0.216
18 C 0.542 0.645 0.220
19 C 0.575 0.895 0.684
20 C 0.634 0.634 0.133
21 C 0.645 0.542 0.220
22 C 0.670 0.001 0.612
23 C 0.682 0.108 0.683
24 C 0.714 0.714 0.969
25 C 0.754 0.001 0.456
26 C 0.895 0.575 0.684
27 C 0.900 0.362 0.219
28 N 0.002 0.219 0.849
29 N 0.002 0.821 0.323
30 N 0.179 0.179 0.325
31 N 0.193 0.550 0.279
32 N 0.200 0.695 0.742
33 N 0.219 0.002 0.849
34 N 0.312 0.508 0.738
35 N 0.363 0.816 0.284
36 N 0.461 0.651 0.292
37 N 0.496 0.803 0.744
38 N 0.508 0.312 0.738
39 N 0.550 0.193 0.279
40 N 0.651 0.461 0.292
41 N 0.695 0.200 0.742
42 N 0.781 0.781 0.832
43 N 0.803 0.496 0.744
44 N 0.816 0.363 0.284
45 N 0.821 0.002 0.323

Properties
The value obtained for the final energy is -119.59 eV per formula unit. Its magnetic moment is 0.19 μB/f.u.

---

No. 8
This record from the Materials Project describes a relaxed structure of InSiCN. The functional is GGA-PBE.

a b c (Å): 3.264 5.847 5.350
angles (deg): 90.00 90.00 90.00
Atoms (fractional coordinates):
1 In 0.000 0.105 0.000
2 In 0.500 0.895 0.500
3 Si 0.000 0.417 0.490
4 Si 0.500 0.583 0.990
5 C 0.000 0.458 0.847
6 C 0.500 0.542 0.347
7 N 0.000 0.122 0.410
8 N 0.500 0.878 0.910

Properties
The value obtained for the final energy is -25.87 eV per formula unit. Its magnetic moment is 0.00 μB/f.u.

---

No. 9
This record from the Materials Project describes a relaxed structure of Nb2InC. The functional is GGA-PBE.

a b c (Å): 3.203 3.203 14.517
angles (deg): 90.00 90.00 120.00
Atoms (fractional coordinates):
1 Nb 0.333 0.667 0.082
2 Nb 0.333 0.667 0.418
3 Nb 0.667 0.333 0.582
4 Nb 0.667 0.333 0.918
5 In 0.333 0.667 0.750
6 In 0.667 0.333 0.250
7 C 0.000 0.000 0.000
8 C 0.000 0.000 0.500

Properties
The value obtained for the final energy is -33.81 eV per formula unit.

---

No. 10
This record from the Materials Project describes a relaxed structure of Pr3InC. The functional is GGA-PBE.

a b c (Å): 5.831 5.831 5.831
angles (deg): 90.00 90.00 90.00
Atoms (fractional coordinates):
1 Pr 0.000 0.000 0.500
2 Pr 0.000 0.500 0.000
3 Pr 0.500 0.000 0.000
4 In 0.000 0.000 0.000
5 C 0.500 0.500 0.500

Properties
The value obtained for the final energy is -18.47 eV per formula unit. Its magnetic moment is 0.00 μB/f.u.

---

No. 11
This record from the Materials Project describes a relaxed structure of InPt3C. The functional is GGA-PBE.

a b c (Å): 4.259 4.259 4.259
angles (deg): 90.00 90.00 90.00
Atoms (fractional coordinates):
1 In 0.000 0.000 0.000
2 Pt 0.000 0.500 0.500
3 Pt 0.500 0.000 0.500
4 Pt 0.500 0.500 0.000
5 C 0.500 0.500 0.500

Properties
The value obtained for the final energy is -28.92 eV per formula unit. Its magnetic moment is 0.00 μB/f.u.

---

No. 12
This record from the Materials Project describes a relaxed structure of Sc3InC. The functional is GGA-PBE.

a b c (Å): 4.558 4.558 4.558
angles (deg): 90.00 90.00 90.00
Atoms (fractional coordinates):
1 Sc 0.000 0.000 0.500
2 Sc 0.000 0.500 0.000
3 Sc 0.500 0.000 0.000
4 In 0.500 0.500 0.500
5 C 0.000 0.000 0.000

Properties
The value obtained for the final energy is -34.32 eV per formula unit.